# GGA-PBE ScFeGe, optimized geometry
data_ScFeGe
_cell_length_a 6.4961
_cell_length_b 6.4961
_cell_length_c 3.9612
_cell_angle_alpha 90.00
_cell_angle_beta 90.00
_cell_angle_gamma 120.00
_symmetry_space_group_name_H-M 'P -6 2 m'
_symmetry_Int_Tables_number 189
_symmetry_space_group_name_Hall 'P -6 -2'
loop_
_atom_site_label
_atom_site_type_symbol
_atom_site_fract_x
_atom_site_fract_y
_atom_site_fract_z
_atom_site_occupancy
Sc1 Sc 0.0000 0.5782 0.0000 1
Fe1 Fe 0.0000 0.2275 0.5000 1
Ge1 Ge 0.0000 0.0000 0.0000 1
Ge2 Ge 0.3333 0.6667 0.5000 1
# V (Å³/atom): 16.085
# E_tot (eV/atom): -7.030